No. 1
Li3MnCoO5 | PBE with a Hubbard U | relaxed

calculated formation energy	-1.945	eV/atom
excess energy over the best structure of this formula in the dataset	14.5	meV/atom
crystal system	monoclinic
total magnetization	0.3000	μB per atom

abc: 24.084 2.917 5.089
angles: 90.00 94.68 90.00
Space group C2/m (No. 12)
Unique sites:
Li: 0.000 0.000 0.000
Li: 0.000 0.500 0.500
Li: 0.097 0.000 0.705
Li: 0.200 0.500 0.895
Mn: 0.097 0.500 0.188
Co: 0.200 0.000 0.403
O: 0.055 0.500 0.875
O: 0.056 0.000 0.334
O: 0.146 0.000 0.073
O: 0.152 0.500 0.523
O: 0.249 0.500 0.263

***

No. 2
Li4MnCo2O7 | PBE with a Hubbard U | relaxed

calculated formation energy	-1.658	eV/atom
excess energy over the best structure of this formula in the dataset	226.3	meV/atom
crystal system	monoclinic
total magnetization	0.0092	μB per atom

abc: 12.859 2.901 14.472
angles: 90.00 111.28 90.00
Space group Cm (No. 8)
Unique sites:
Li: 0.000 0.000 0.000
Li: 0.005 0.000 0.509
Li: 0.074 0.500 0.357
Li: 0.142 0.000 0.214
Li: 0.211 0.500 0.072
Li: 0.294 0.000 0.934
Li: 0.363 0.500 0.795
Li: 0.428 0.000 0.645
Mn: 0.069 0.500 0.864
Mn: 0.359 0.500 0.287
Co: 0.146 0.000 0.719
Co: 0.216 0.500 0.575
Co: 0.288 0.000 0.435
Co: 0.441 0.000 0.136
O: 0.012 0.000 0.764
O: 0.070 0.500 0.115
O: 0.080 0.500 0.617
O: 0.137 0.000 0.954
O: 0.150 0.000 0.471
O: 0.203 0.500 0.819
O: 0.229 0.500 0.329
O: 0.280 0.000 0.676
O: 0.296 0.000 0.195
O: 0.356 0.500 0.536
O: 0.361 0.500 0.048
O: 0.422 0.000 0.383
O: 0.441 0.000 0.892
O: 0.487 0.500 0.249

***

No. 3
Li7Mn2Co3O12 | PBE with a Hubbard U | relaxed

calculated formation energy	-1.716	eV/atom
excess energy over the best structure of this formula in the dataset	217.4	meV/atom
crystal system	monoclinic
total magnetization	0.0722	μB per atom

abc: 5.969 2.948 12.536
angles: 90.00 103.19 90.00
Space group Pm (No. 6)
Unique sites:
Li: 0.000 0.000 0.000
Li: 0.013 0.500 0.512
Li: 0.171 0.500 0.833
Li: 0.327 0.000 0.667
Li: 0.500 0.500 0.514
Li: 0.684 0.000 0.351
Li: 0.832 0.500 0.167
Mn: 0.167 0.000 0.348
Mn: 0.335 0.500 0.171
Co: 0.505 0.000 0.999
Co: 0.663 0.500 0.836
Co: 0.843 0.000 0.666
O: 0.064 0.500 0.671
O: 0.113 0.000 0.178
O: 0.250 0.000 0.494
O: 0.264 0.500 0.018
O: 0.390 0.500 0.335
O: 0.429 0.000 0.836
O: 0.560 0.000 0.179
O: 0.603 0.500 0.678
O: 0.755 0.500 0.997
O: 0.759 0.000 0.523
O: 0.904 0.000 0.822
O: 0.948 0.500 0.337

***

No. 4
Li7Mn2Co3O12 | PBE with a Hubbard U | relaxed

calculated formation energy	-1.834	eV/atom
excess energy over the best structure of this formula in the dataset	99.0	meV/atom
crystal system	triclinic
total magnetization	0.6667	μB per atom

abc: 3.000 7.619 9.876
angles: 101.27 93.57 98.33
Space group P1 (No. 1)
Unique sites:
Li: 0.000 0.000 0.000
Li: 0.072 0.169 0.755
Li: 0.147 0.340 0.510
Li: 0.323 0.668 0.003
Li: 0.489 0.005 0.513
Li: 0.656 0.334 0.996
Li: 0.818 0.669 0.510
Mn: 0.245 0.502 0.251
Mn: 0.566 0.170 0.258
Co: 0.415 0.845 0.753
Co: 0.728 0.494 0.758
Co: 0.905 0.837 0.257
O: 0.146 0.255 0.136
O: 0.177 0.427 0.870
O: 0.312 0.603 0.648
O: 0.360 0.750 0.368
O: 0.452 0.922 0.144
O: 0.514 0.053 0.870
O: 0.630 0.287 0.642
O: 0.666 0.417 0.372
O: 0.816 0.588 0.136
O: 0.833 0.737 0.863
O: 0.970 0.912 0.640
O: 0.992 0.087 0.377

***

No. 5
Li3MnCoO5 | PBE with a Hubbard U | relaxed

calculated formation energy	-1.850	eV/atom
excess energy over the best structure of this formula in the dataset	109.5	meV/atom
crystal system	monoclinic
total magnetization	0.3000	μB per atom

abc: 12.785 2.949 9.901
angles: 90.00 100.13 90.00
Space group C2/m (No. 12)
Unique sites:
Li: 0.000 0.000 0.000
Li: 0.000 0.500 0.500
Li: 0.095 0.000 0.281
Li: 0.191 0.500 0.082
Mn: 0.199 0.000 0.603
Co: 0.090 0.500 0.815
O: 0.045 0.500 0.158
O: 0.064 0.000 0.649
O: 0.150 0.000 0.936
O: 0.162 0.500 0.467
O: 0.244 0.500 0.725

***

No. 6
Li7Mn4CoO12 | PBE with a Hubbard U | relaxed

calculated formation energy	-2.003	eV/atom
excess energy over the best structure of this formula in the dataset	81.1	meV/atom
crystal system	monoclinic
total magnetization	0.6089	μB per atom

abc: 15.866 2.914 9.836
angles: 90.00 98.40 90.00
Space group Cm (No. 8)
Unique sites:
Li: 0.000 0.000 0.000
Li: 0.001 0.500 0.515
Li: 0.083 0.000 0.764
Li: 0.163 0.500 0.997
Li: 0.170 0.000 0.516
Li: 0.329 0.000 0.005
Li: 0.334 0.500 0.512
Mn: 0.083 0.500 0.259
Mn: 0.249 0.000 0.256
Mn: 0.416 0.500 0.260
Mn: 0.418 0.000 0.758
Co: 0.242 0.500 0.756
O: 0.023 0.500 0.870
O: 0.050 0.000 0.378
O: 0.115 0.000 0.142
O: 0.142 0.500 0.645
O: 0.214 0.000 0.879
O: 0.216 0.500 0.372
O: 0.283 0.500 0.141
O: 0.300 0.000 0.649
O: 0.371 0.500 0.863
O: 0.383 0.000 0.375
O: 0.449 0.000 0.145
O: 0.451 0.500 0.645

***

No. 7
Li7Mn2Co3O12 | PBE with a Hubbard U | relaxed

calculated formation energy	-1.863	eV/atom
excess energy over the best structure of this formula in the dataset	70.8	meV/atom
crystal system	monoclinic
total magnetization	0.6672	μB per atom

abc: 5.176 2.887 14.471
angles: 90.00 90.64 90.00
Space group Pm (No. 6)
Unique sites:
Li: 0.000 0.000 0.000
Li: 0.004 0.000 0.491
Li: 0.172 0.500 0.329
Li: 0.327 0.000 0.160
Li: 0.482 0.500 0.999
Li: 0.664 0.000 0.841
Li: 0.831 0.500 0.670
Mn: 0.320 0.000 0.666
Mn: 0.842 0.500 0.160
Co: 0.144 0.500 0.846
Co: 0.501 0.500 0.497
Co: 0.672 0.000 0.332
O: 0.032 0.000 0.747
O: 0.135 0.500 0.091
O: 0.168 0.500 0.591
O: 0.329 0.000 0.910
O: 0.359 0.000 0.419
O: 0.474 0.500 0.737
O: 0.529 0.500 0.250
O: 0.620 0.000 0.581
O: 0.681 0.000 0.092
O: 0.834 0.500 0.411
O: 0.851 0.500 0.907
O: 0.979 0.000 0.242

***

No. 8
Li4MnCo2O7 | PBE with a Hubbard U | relaxed

calculated formation energy	-1.801	eV/atom
excess energy over the best structure of this formula in the dataset	82.7	meV/atom
crystal system	monoclinic
total magnetization	0.7143	μB per atom

abc: 9.856 2.869 18.161
angles: 90.00 96.98 90.00
Space group Cm (No. 8)
Unique sites:
Li: 0.000 0.000 0.000
Li: 0.000 0.000 0.493
Li: 0.067 0.500 0.140
Li: 0.137 0.000 0.284
Li: 0.205 0.500 0.423
Li: 0.282 0.000 0.556
Li: 0.358 0.500 0.705
Li: 0.424 0.000 0.856
Mn: 0.074 0.500 0.630
Mn: 0.144 0.000 0.780
Co: 0.209 0.500 0.927
Co: 0.280 0.000 0.070
Co: 0.357 0.500 0.213
Co: 0.422 0.000 0.361
O: 0.016 0.500 0.744
O: 0.056 0.000 0.385
O: 0.083 0.000 0.890
O: 0.137 0.500 0.541
O: 0.147 0.500 0.032
O: 0.200 0.000 0.670
O: 0.222 0.000 0.173
O: 0.274 0.500 0.811
O: 0.294 0.500 0.314
O: 0.336 0.000 0.956
O: 0.351 0.000 0.453
O: 0.412 0.500 0.099
O: 0.446 0.500 0.608
O: 0.489 0.000 0.242

***

No. 9
Li5Mn2CoO8 | PBE with a Hubbard U | relaxed

calculated formation energy	-2.013	eV/atom
excess energy over the best structure of this formula in the dataset	20.8	meV/atom
crystal system	triclinic
total magnetization	0.5007	μB per atom

abc: 2.894 7.798 12.596
angles: 88.46 89.88 79.94
Space group P-1 (No. 2)
Unique sites:
Li: 0.079 0.361 0.187
Li: 0.189 0.126 0.572
Li: 0.252 0.997 0.249
Li: 0.311 0.875 0.928
Li: 0.420 0.639 0.309
Mn: 0.129 0.247 0.873
Mn: 0.363 0.758 0.632
Co: 0.000 0.500 0.500
Co: 0.500 0.500 0.000
O: 0.056 0.415 0.348
O: 0.081 0.333 0.024
O: 0.155 0.199 0.732
O: 0.212 0.084 0.404
O: 0.296 0.912 0.092
O: 0.341 0.808 0.772
O: 0.388 0.677 0.476
O: 0.455 0.579 0.144

***

No. 10
Li3MnCoO5 | PBE with a Hubbard U | relaxed

calculated formation energy	-1.908	eV/atom
excess energy over the best structure of this formula in the dataset	51.4	meV/atom
crystal system	monoclinic
total magnetization	0.7000	μB per atom

abc: 15.472 2.930 8.199
angles: 90.00 104.50 90.00
Space group Cm (No. 8)
Unique sites:
Li: 0.000 0.000 0.000
Li: 0.008 0.000 0.514
Li: 0.099 0.500 0.788
Li: 0.205 0.000 0.612
Li: 0.316 0.500 0.423
Li: 0.411 0.000 0.226
Mn: 0.105 0.500 0.319
Mn: 0.207 0.000 0.104
Co: 0.312 0.500 0.897
Co: 0.415 0.000 0.695
O: 0.004 0.000 0.761
O: 0.021 0.000 0.262
O: 0.110 0.500 0.539
O: 0.120 0.500 0.073
O: 0.196 0.000 0.340
O: 0.213 0.000 0.878
O: 0.294 0.500 0.151
O: 0.309 0.500 0.672
O: 0.403 0.000 0.961
O: 0.405 0.000 0.469

***

No. 11
Li5Mn2CoO8 | PBE with a Hubbard U | relaxed

calculated formation energy	-2.021	eV/atom
excess energy over the best structure of this formula in the dataset	13.2	meV/atom
crystal system	triclinic
total magnetization	0.3750	μB per atom

abc: 2.889 9.766 10.100
angles: 79.30 89.52 89.39
Space group P-1 (No. 2)
Unique sites:
Li: 0.000 0.000 0.000
Li: 0.003 0.755 0.375
Li: 0.006 0.746 0.890
Li: 0.491 0.754 0.110
Li: 0.496 0.251 0.375
Li: 0.500 0.500 0.000
Mn: 0.006 0.493 0.760
Mn: 0.498 0.994 0.755
Co: 0.000 0.000 0.500
Co: 0.500 0.500 0.500
O: 0.003 0.891 0.681
O: 0.004 0.379 0.923
O: 0.007 0.892 0.199
O: 0.022 0.613 0.565
O: 0.489 0.614 0.309
O: 0.495 0.107 0.562
O: 0.498 0.392 0.197
O: 0.499 0.121 0.081

***

No. 12
Li3MnCoO5 | PBE with a Hubbard U | relaxed

calculated formation energy	-1.944	eV/atom
excess energy over the best structure of this formula in the dataset	16.2	meV/atom
crystal system	triclinic
total magnetization	0.6999	μB per atom

abc: 5.019 5.892 6.604
angles: 103.50 97.43 106.85
Space group P1 (No. 1)
Unique sites:
Li: 0.000 0.000 0.000
Li: 0.003 0.495 0.003
Li: 0.205 0.394 0.397
Li: 0.400 0.795 0.807
Li: 0.609 0.200 0.198
Li: 0.811 0.594 0.608
Mn: 0.205 0.894 0.399
Mn: 0.603 0.692 0.197
Co: 0.417 0.299 0.813
Co: 0.820 0.115 0.614
O: 0.102 0.421 0.696
O: 0.107 0.946 0.682
O: 0.320 0.843 0.128
O: 0.330 0.370 0.106
O: 0.493 0.223 0.504
O: 0.501 0.762 0.483
O: 0.687 0.647 0.921
O: 0.689 0.148 0.888
O: 0.905 0.577 0.305
O: 0.910 0.021 0.303

***

The highest excess energy over the best structure of this formula in the dataset belongs to which entry? number 2

***

calculated formation energy of number 1 (Li3MnCoO5)? -1.945 eV/atom

***

The highest total magnetization belongs to which entry? number 8

***

Which value of total magnetization does entry 4 give? 0.6667 μB per atom